The following is a DFT calculation (PBE with a Hubbard U) of a relaxed Fe3P2H16O16 crystal.

Values from the calculation:
As for the energy with MP2020 corrections: -6.21 eV per atom. The symmetry is C2/m (12). Its calculated formation energy is -5785 kJ/mol of formula units. The electronic total energy comes out at -211.89 eV for the cell shown.

a = 8.424 Å, b = 8.424 Å, c = 4.786 Å
α = 81.36°, β = 81.36°, γ = 105.06°
Fractional positions:
1 O 0.389 0.389 0.306
2 O 0.620 0.173 0.287
3 H 0.566 0.172 0.485
4 O 0.756 0.561 0.219
5 H 0.825 0.262 0.715
6 H 0.175 0.738 0.285
7 O 0.015 0.781 0.799
8 O 0.843 0.843 0.368
9 O 0.611 0.611 0.694
10 O 0.173 0.620 0.287
11 O 0.827 0.380 0.713
12 O 0.380 0.827 0.713
13 P 0.312 0.312 0.626
14 H 0.319 0.060 0.057
15 O 0.781 0.015 0.799
16 H 0.262 0.825 0.715
17 H 0.940 0.681 0.943
18 H 0.956 0.790 0.634
19 H 0.044 0.210 0.366
20 P 0.688 0.688 0.374
21 H 0.828 0.434 0.515
22 H 0.434 0.828 0.515
23 O 0.244 0.439 0.781
24 O 0.561 0.756 0.219
25 H 0.681 0.940 0.943
26 H 0.172 0.566 0.485
27 Fe 0.610 0.390 0.000
28 O 0.157 0.157 0.632
29 H 0.790 0.956 0.634
30 H 0.060 0.319 0.057
31 O 0.219 0.985 0.201
32 O 0.985 0.219 0.201
33 O 0.439 0.244 0.781
34 H 0.210 0.044 0.366
35 H 0.738 0.175 0.285
36 Fe 0.390 0.610 0.000
37 Fe 0.000 0.000 0.000



The following is a DFT calculation (PBE with a Hubbard U) of a relaxed FeOF crystal.

Values from the calculation:
As for the energy with MP2020 corrections: -7.13 eV per atom. The symmetry is Pm (6). Its calculated formation energy is -584 kJ/mol of formula units. The electronic total energy comes out at -215.80 eV for the cell shown.

a = 3.124 Å, b = 9.443 Å, c = 14.201 Å
α = 89.99°, β = 90.00°, γ = 90.00°
Fractional positions:
1 O 0.000 0.353 0.562
2 O 0.500 0.103 0.269
3 O 0.000 0.151 0.095
4 O 0.500 0.403 0.074
5 O 0.500 0.910 0.399
6 Fe 0.500 0.777 0.164
7 Fe 0.500 0.277 0.839
8 F 0.500 0.100 0.926
9 O 0.500 0.402 0.729
10 Fe 0.500 0.766 0.844
11 Fe 0.500 0.227 0.158
12 F 0.000 0.151 0.765
13 Fe 0.000 0.993 0.005
14 Fe 0.000 0.998 0.323
15 F 0.500 0.092 0.603
16 F 0.500 0.598 0.937
17 F 0.500 0.396 0.394
18 F 0.500 0.588 0.264
19 O 0.500 0.900 0.059
20 Fe 0.000 0.488 0.670
21 O 0.000 0.644 0.429
22 Fe 0.000 0.476 0.012
23 F 0.500 0.606 0.602
24 F 0.000 0.651 0.101
25 F 0.000 0.846 0.565
26 O 0.000 0.852 0.897
27 Fe 0.500 0.754 0.478
28 Fe 0.000 0.507 0.333
29 Fe 0.500 0.259 0.511
30 F 0.000 0.355 0.239
31 O 0.500 0.895 0.731
32 O 0.000 0.837 0.233
33 F 0.000 0.160 0.442
34 Fe 0.000 0.981 0.679
35 O 0.000 0.352 0.900
36 F 0.000 0.651 0.769



The following is a DFT calculation (PBE with a Hubbard U) of a relaxed Li4V3P8O29 crystal.

Values from the calculation:
As for the energy with MP2020 corrections: -7.61 eV per atom. The symmetry is P1 (1). Its calculated formation energy is -10935 kJ/mol of formula units. The calculation puts the excess energy over the best structure of this formula in the dataset at 7.5 meV per atom. The electronic total energy comes out at -620.00 eV for the cell shown.

a = 9.744 Å, b = 9.766 Å, c = 14.211 Å
α = 89.70°, β = 89.83°, γ = 60.34°
Fractional positions:
1 O 0.020 0.763 0.436
2 O 0.259 0.653 0.331
3 O 0.205 0.018 0.431
4 O 0.818 0.510 0.322
5 V 0.567 0.433 0.745
6 O 0.799 0.998 0.577
7 O 0.807 0.671 0.830
8 O 0.799 0.203 0.251
9 O 0.787 0.211 0.075
10 O 0.631 0.682 0.969
11 P 0.660 0.668 0.866
12 O 0.384 0.527 0.824
13 O 0.656 0.087 0.335
14 O 0.995 0.237 0.568
15 Li 0.232 0.091 0.555
16 P 0.675 0.661 0.367
17 O 0.008 0.197 0.744
18 O 0.089 0.657 0.836
19 O 0.524 0.662 0.321
20 P 0.917 0.781 0.162
21 Li 0.971 0.052 0.001
22 O 0.328 0.350 0.027
23 O 0.230 0.985 0.070
24 O 0.085 0.374 0.833
25 O 0.539 0.381 0.330
26 O 0.342 0.918 0.657
27 P 0.330 0.336 0.632
28 O 0.461 0.620 0.669
29 O 0.489 0.187 0.167
30 O 0.376 0.091 0.328
31 O 0.084 0.530 0.327
32 O 0.674 0.807 0.325
33 O 0.263 0.078 0.834
34 O 0.511 0.817 0.818
35 O 0.805 0.991 0.757
36 O 0.200 0.792 0.580
37 O 0.186 0.487 0.672
38 P 0.690 0.089 0.842
39 O 0.480 0.333 0.676
40 O 0.660 0.523 0.818
41 O 0.234 0.762 0.933
42 P 0.306 0.779 0.660
43 O 0.746 0.919 0.160
44 P 0.695 0.221 0.342
45 O 0.078 0.260 0.332
46 O 0.918 0.621 0.173
47 P 0.087 0.217 0.841
48 O 0.009 0.191 0.923
49 O 0.203 0.997 0.250
50 O 0.913 0.347 0.162
51 O 0.327 0.185 0.674
52 O 0.332 0.486 0.176
53 P 0.337 0.336 0.131
54 P 0.916 0.315 0.659
55 P 0.775 0.309 0.159
56 O 0.469 0.914 0.174
57 O 0.919 0.741 0.665
58 O 0.212 0.802 0.758
59 O 0.327 0.332 0.527
60 Li 0.239 0.664 0.059
61 P 0.221 0.088 0.341
62 O 0.764 0.023 0.935
63 V 0.439 0.564 0.256
64 P 0.231 0.684 0.843
65 O 0.621 0.921 0.673
66 O 0.793 0.208 0.426
67 O 0.013 0.787 0.081
68 O 0.657 0.260 0.828
69 V 0.567 0.000 0.252
70 O 0.744 0.345 0.664
71 O 0.677 0.644 0.471
72 V 0.440 0.000 0.747
73 Li 0.897 0.337 0.442
74 P 0.785 0.914 0.661
75 O 0.346 0.738 0.165
76 O 0.189 0.334 0.177
77 Li 0.963 0.993 0.494
78 O 0.989 0.803 0.260
79 V 0.003 0.433 0.243
80 O 0.616 0.462 0.171
81 P 0.313 0.911 0.160
82 Li 0.094 0.667 0.563
83 Li 0.329 0.905 0.944
84 Li 0.669 0.095 0.060
85 O 0.914 0.471 0.676
86 V 0.000 0.565 0.757
87 O 0.532 0.086 0.825
88 P 0.086 0.685 0.344



The following is a DFT calculation (PBE with a Hubbard U) of a relaxed Ni12C8O31 crystal.

Values from the calculation:
As for the energy with MP2020 corrections: -7.19 eV per atom. The symmetry is P-43m (215). Its calculated formation energy is -6777 kJ/mol of formula units. The electronic total energy comes out at -315.03 eV for the cell shown.

a = 8.396 Å, b = 8.396 Å, c = 8.396 Å
α = 90.00°, β = 90.00°, γ = 90.00°
Fractional positions:
1 O 0.579 0.768 0.768
2 O 0.264 0.736 0.924
3 Ni 0.500 0.750 0.000
4 O 0.768 0.232 0.421
5 O 0.264 0.264 0.076
6 O 0.736 0.264 0.924
7 O 0.421 0.232 0.768
8 O 0.076 0.264 0.264
9 Ni 0.500 0.000 0.750
10 Ni 0.000 0.250 0.500
11 C 0.294 0.706 0.294
12 O 0.232 0.421 0.768
13 O 0.264 0.076 0.264
14 C 0.798 0.202 0.798
15 Ni 0.250 0.500 0.000
16 O 0.579 0.232 0.232
17 Ni 0.000 0.500 0.250
18 C 0.706 0.706 0.706
19 O 0.768 0.579 0.768
20 O 0.500 0.000 0.500
21 O 0.421 0.768 0.232
22 C 0.294 0.294 0.706
23 Ni 0.500 0.250 0.000
24 Ni 0.500 0.000 0.250
25 O 0.232 0.768 0.421
26 O 0.736 0.076 0.736
27 Ni 0.750 0.000 0.500
28 O 0.232 0.579 0.232
29 O 0.264 0.924 0.736
30 O 0.736 0.924 0.264
31 O 0.768 0.421 0.232
32 Ni 0.250 0.000 0.500
33 Ni 0.750 0.500 0.000
34 C 0.798 0.798 0.202
35 O 0.736 0.736 0.076
36 O 0.500 0.500 0.500
37 O 0.000 0.000 0.500
38 O 0.768 0.768 0.579
39 O 0.232 0.232 0.579
40 O 0.924 0.736 0.264
41 O 0.076 0.736 0.736
42 C 0.202 0.798 0.798
43 C 0.202 0.202 0.202
44 O 0.500 0.500 0.000
45 O 0.000 0.500 0.000
46 C 0.706 0.294 0.294
47 Ni 0.000 0.500 0.750
48 Ni 0.000 0.750 0.500
49 O 0.500 0.000 0.000
50 O 0.924 0.264 0.736
51 O 0.000 0.500 0.500